Material: SrZnF2
Method: DFT, PBE
State: optimized geometry

Values from the calculation:
Total magnetization: 0.000 μB per atom
Final energy: -4.206 eV/atom
ΔE_f: -2.74 eV per atom

Unit cell a=7.9473 b=7.9473 c=7.9473 alpha=121.12 beta=121.12 gamma=88.06
With the nearest neighbours (Å) after each atom.
Positions (direct):
Sr  0.0000  0.0000  0.0000  6 F 2.48-2.49
Sr  0.5000  0.0000  0.0000  6 F 2.48-2.49
Sr  0.5000  0.0000  0.5000  6 F 2.48-2.49
Sr  0.5000  0.5000  0.5000  6 F 2.48-2.49
Zn  0.0000  0.0000  0.5000  6 F 3.13-3.30
Zn  0.0000  0.5000  0.0000  6 F 3.13-3.30
Zn  0.0000  0.5000  0.5000  6 F 3.13-3.30
Zn  0.5000  0.5000  0.0000  6 F 3.13-3.30
F  0.2741  0.2133  0.0587  3 Sr 2.48-2.49
F  0.2846  0.2259  0.4392  3 Sr 2.48-2.49
F  0.2867  0.8454  0.0608  3 Sr 2.48-2.49
F  0.3454  0.7846  0.5587  3 Sr 2.48-2.49
F  0.6546  0.2154  0.4413  3 Sr 2.48-2.49
F  0.7133  0.1546  0.9392  3 Sr 2.48-2.49
F  0.7154  0.7741  0.5608  3 Sr 2.48-2.49
F  0.7259  0.7867  0.9413  3 Sr 2.48-2.49


Material: Sr5Zr3F22
Method: DFT, PBE
State: optimized geometry

Values from the calculation:
Final energy: -6.358 eV/atom
ΔE_f: -4.16 eV per atom

Unit cell a=7.7454 b=10.4760 c=10.4625 alpha=90.00 beta=90.00 gamma=90.00
With the nearest neighbours (Å) after each atom.
Positions (direct):
Sr  0.0000  0.0000  0.0198  8 F 2.39-2.60
Sr  0.0000  0.0000  0.4616  8 F 2.46-2.58
Sr  0.0000  0.5000  0.9371  6 F 2.42-2.58
Sr  0.2363  0.2926  0.2532  6 F 2.39-2.53
Sr  0.2637  0.7926  0.7468  6 F 2.39-2.53
Sr  0.5000  0.0000  0.0629  6 F 2.42-2.58
Sr  0.5000  0.5000  0.5384  8 F 2.46-2.58
Sr  0.5000  0.5000  0.9802  8 F 2.39-2.60
Sr  0.7363  0.2074  0.7468  6 F 2.39-2.53
Sr  0.7637  0.7074  0.2532  6 F 2.39-2.53
Zr  0.0000  0.5000  0.5380  8 F 2.10-2.21
Zr  0.2473  0.2110  0.7733  8 F 2.10-2.34
Zr  0.2527  0.7110  0.2267  8 F 2.10-2.34
Zr  0.5000  0.0000  0.4620  8 F 2.10-2.21
Zr  0.7473  0.2890  0.2267  8 F 2.10-2.34
Zr  0.7527  0.7890  0.7733  8 F 2.10-2.34
F  0.0115  0.2003  0.8740  1 Zr 2.11
F  0.0268  0.6572  0.1252  1 Zr 2.12
F  0.0643  0.8411  0.2954  1 Zr 2.12
F  0.0680  0.1508  0.6351  1 Zr 2.10
F  0.0881  0.6107  0.3711  2 Zr 2.20-2.24
F  0.0898  0.3887  0.7047  2 Zr 2.21-2.34
F  0.2126  0.6081  0.6003  1 Zr 2.10
F  0.2139  0.3940  0.4714  1 Zr 2.11
F  0.2180  0.0161  0.8313  1 Zr 2.14
F  0.2364  0.1119  0.1143  3 Sr 2.39-2.42
F  0.2404  0.8464  0.0776  1 Zr 2.11
F  0.2596  0.3464  0.9224  1 Zr 2.11
F  0.2636  0.6119  0.8857  3 Sr 2.39-2.42
F  0.2820  0.5161  0.1687  1 Zr 2.14
F  0.2861  0.8940  0.5286  1 Zr 2.11
F  0.2874  0.1081  0.3997  1 Zr 2.10
F  0.4102  0.8887  0.2953  2 Zr 2.21-2.34
F  0.4119  0.1107  0.6289  2 Zr 2.20-2.24
F  0.4320  0.6508  0.3649  1 Zr 2.10
F  0.4357  0.3411  0.7046  1 Zr 2.12
F  0.4732  0.1572  0.8748  1 Zr 2.12
F  0.4885  0.7003  0.1260  1 Zr 2.11
F  0.5115  0.2997  0.1260  1 Zr 2.11
F  0.5268  0.8428  0.8748  1 Zr 2.12
F  0.5643  0.6589  0.7046  1 Zr 2.12
F  0.5680  0.3492  0.3649  1 Zr 2.10
F  0.5881  0.8893  0.6289  2 Zr 2.20-2.24
F  0.5898  0.1113  0.2953  2 Zr 2.21-2.34
F  0.7126  0.8919  0.3997  1 Zr 2.10
F  0.7139  0.1060  0.5286  1 Zr 2.11
F  0.7180  0.4839  0.1687  1 Zr 2.14
F  0.7364  0.3881  0.8857  3 Sr 2.39-2.42
F  0.7404  0.6536  0.9224  1 Zr 2.11
F  0.7596  0.1536  0.0776  1 Zr 2.11
F  0.7636  0.8881  0.1143  3 Sr 2.39-2.42
F  0.7820  0.9839  0.8313  1 Zr 2.14
F  0.7861  0.6060  0.4714  1 Zr 2.11
F  0.7874  0.3919  0.6003  1 Zr 2.10
F  0.9102  0.6113  0.7047  2 Zr 2.21-2.34
F  0.9119  0.3893  0.3711  2 Zr 2.20-2.24
F  0.9320  0.8492  0.6351  1 Zr 2.10
F  0.9357  0.1589  0.2954  1 Zr 2.12
F  0.9732  0.3428  0.1252  1 Zr 2.12
F  0.9885  0.7997  0.8740  1 Zr 2.11


Material: TaF5
Method: DFT, PBE
State: optimized geometry

Values from the calculation:
Total magnetization: 0.000 μB per atom
Final energy: -6.681 eV/atom
ΔE_f: -3.49 eV per atom
Offset from the most stable computed form: 76.9 meV per atom

Unit cell a=5.5529 b=5.5628 c=7.9081 alpha=109.76 beta=96.77 gamma=110.37
With the nearest neighbours (Å) after each atom.
Positions (direct):
Ta  0.0000  0.0000  0.0000  6 F 1.88-2.05
Ta  0.0048  0.5018  0.5008  6 F 1.88-2.05
F  0.0768  0.3210  0.2509  2 Ta 2.05
F  0.2074  0.8644  0.1166  1 Ta 1.89
F  0.2504  0.4041  0.6180  1 Ta 1.89
F  0.2821  0.8520  0.5541  1 Ta 1.88
F  0.3021  0.2210  0.9485  1 Ta 1.89
F  0.6969  0.7802  0.0505  1 Ta 1.88
F  0.7277  0.1524  0.4498  1 Ta 1.88
F  0.7619  0.5970  0.3793  1 Ta 1.89
F  0.7909  0.1332  0.8831  1 Ta 1.89
F  0.9292  0.6800  0.7491  2 Ta 2.05


Material: TaF5
Method: DFT, PBE
State: optimized geometry

Values from the calculation:
Total magnetization: 0.000 μB per atom
Final energy: -6.401 eV/atom
ΔE_f: -3.21 eV per atom
Offset from the most stable computed form: 357.2 meV per atom

Unit cell a=3.7226 b=4.4300 c=9.3796 alpha=90.00 beta=90.00 gamma=90.00
With the nearest neighbours (Å) after each atom.
Positions (direct):
Ta  0.0000  0.0000  0.0000  2 F 1.87
Ta  0.5000  0.5000  0.5000  2 F 1.87
F  0.0000  0.0000  0.1997  1 Ta 1.87
F  0.0000  0.0000  0.8003  1 Ta 1.87
F  0.0000  0.2677  0.5000  3 F 2.06-2.21, 2 Ta 2.13
F  0.0000  0.5000  0.0000  4 F 2.21, 2 Ta 2.22
F  0.0000  0.7323  0.5000  3 F 2.06-2.21, 2 Ta 2.13
F  0.5000  0.0000  0.5000  4 F 2.21, 2 Ta 2.22
F  0.5000  0.2323  0.0000  3 F 2.06-2.21, 2 Ta 2.13
F  0.5000  0.5000  0.3003  1 Ta 1.87
F  0.5000  0.5000  0.6997  1 Ta 1.87
F  0.5000  0.7677  0.0000  3 F 2.06-2.21, 2 Ta 2.13


Material: TaF5
Method: DFT, PBE
State: optimized geometry

Values from the calculation:
Final energy: -6.758 eV/atom
ΔE_f: -3.57 eV per atom
Offset from the most stable computed form: 0.0 meV per atom

Unit cell a=8.8843 b=8.8843 c=5.2513 alpha=93.34 beta=93.34 gamma=112.50
With the nearest neighbours (Å) after each atom.
Positions (direct):
Ta  0.2003  0.7997  0.0000  4 F 1.86-1.89
Ta  0.2559  0.2559  0.7485  4 F 1.86-1.89
Ta  0.7441  0.7441  0.2515  4 F 1.86-1.89
Ta  0.7997  0.2003  0.0000  4 F 1.86-1.89
F  0.0254  0.2147  0.8794  2 Ta 2.10
F  0.0773  0.7113  0.6831  1 Ta 1.89
F  0.1322  0.1322  0.4509  1 Ta 1.88
F  0.1668  0.5991  0.1248  1 Ta 1.86
F  0.2147  0.0254  0.8794  2 Ta 2.10
F  0.2690  0.4575  0.6503  1 Ta 1.86
F  0.2887  0.9227  0.3169  1 Ta 1.89
F  0.3328  0.3328  0.0942  1 Ta 1.89
F  0.4009  0.8332  0.8752  1 Ta 1.86
F  0.4575  0.2690  0.6503  1 Ta 1.86
F  0.5425  0.7310  0.3497  1 Ta 1.86
F  0.5991  0.1668  0.1248  1 Ta 1.86
F  0.6672  0.6672  0.9058  1 Ta 1.89
F  0.7113  0.0773  0.6831  1 Ta 1.89
F  0.7310  0.5425  0.3497  1 Ta 1.86
F  0.7854  0.9746  0.1206  2 Ta 2.10
F  0.8332  0.4009  0.8752  1 Ta 1.86
F  0.8678  0.8678  0.5491  1 Ta 1.88
F  0.9227  0.2887  0.3169  1 Ta 1.89
F  0.9746  0.7854  0.1206  2 Ta 2.10


Material: TaF5
Method: DFT, PBE
State: optimized geometry

Values from the calculation:
Total magnetization: 0.000 μB per atom
Final energy: -6.497 eV/atom
ΔE_f: -3.31 eV per atom
Offset from the most stable computed form: 261.1 meV per atom

Unit cell a=5.8488 b=5.8488 c=8.4044 alpha=90.00 beta=90.00 gamma=143.70
With the nearest neighbours (Å) after each atom.
Positions (direct):
Ta  0.0000  0.0000  0.0000  4 F 1.89-2.11
Ta  0.0000  0.0000  0.5000  4 F 1.89-2.11
F  0.0160  0.9840  0.7500  2 Ta 2.11, 4 F 2.34
F  0.1620  0.8380  0.0691  1 Ta 1.89
F  0.1620  0.8380  0.4309  1 Ta 1.89
F  0.4289  0.5711  0.0906  2 Ta 2.13, 3 F 2.19-2.34
F  0.4289  0.5711  0.4094  2 Ta 2.13, 3 F 2.19-2.34
F  0.5711  0.4289  0.5906  2 Ta 2.13, 3 F 2.19-2.34
F  0.5711  0.4289  0.9094  2 Ta 2.13, 3 F 2.19-2.34
F  0.8380  0.1620  0.5691  1 Ta 1.89
F  0.8380  0.1620  0.9309  1 Ta 1.89
F  0.9840  0.0160  0.2500  2 Ta 2.11, 4 F 2.34


Material: TaF5
Method: DFT, PBE
State: optimized geometry

Values from the calculation:
Total magnetization: 0.000 μB per atom
Final energy: -6.682 eV/atom
ΔE_f: -3.50 eV per atom
Offset from the most stable computed form: 75.4 meV per atom

Unit cell a=5.5397 b=10.0866 c=7.9437 alpha=90.00 beta=110.93 gamma=90.00
With the nearest neighbours (Å) after each atom.
Positions (direct):
Ta  0.1183  0.2487  0.4018  6 F 1.88-2.06
Ta  0.1183  0.2513  0.9018  6 F 1.88-2.06
Ta  0.8817  0.7487  0.0982  6 F 1.88-2.06
Ta  0.8817  0.7513  0.5982  6 F 1.88-2.06
F  0.1146  0.6092  0.2017  1 Ta 1.89
F  0.1146  0.8908  0.7017  1 Ta 1.89
F  0.1171  0.1982  0.6533  2 Ta 2.04-2.06
F  0.1171  0.3018  0.1533  2 Ta 2.04-2.06
F  0.1621  0.6364  0.6267  1 Ta 1.89
F  0.1621  0.8636  0.1267  1 Ta 1.89
F  0.3563  0.1167  0.0144  1 Ta 1.88
F  0.3563  0.3833  0.5144  1 Ta 1.88
F  0.3960  0.1316  0.4302  1 Ta 1.89
F  0.3960  0.3684  0.9302  1 Ta 1.89
F  0.6040  0.6316  0.0698  1 Ta 1.89
F  0.6040  0.8684  0.5698  1 Ta 1.89
F  0.6437  0.6167  0.4856  1 Ta 1.88
F  0.6437  0.8833  0.9856  1 Ta 1.88
F  0.8379  0.1364  0.8733  1 Ta 1.89
F  0.8379  0.3636  0.3733  1 Ta 1.89
F  0.8829  0.6982  0.8467  2 Ta 2.04-2.06
F  0.8829  0.8018  0.3467  2 Ta 2.04-2.06
F  0.8854  0.1092  0.2983  1 Ta 1.89
F  0.8854  0.3908  0.7983  1 Ta 1.89


> final energy of number 6 (TaF5)?

-6.497 eV/atom


What did the seventh record say?
Material: TaF5
Method: DFT, PBE
State: optimized geometry

Values from the calculation:
Total magnetization: 0.000 μB per atom
Final energy: -6.682 eV/atom
ΔE_f: -3.50 eV per atom
Offset from the most stable computed form: 75.4 meV per atom

Unit cell a=5.5397 b=10.0866 c=7.9437 alpha=90.00 beta=110.93 gamma=90.00
With the nearest neighbours (Å) after each atom.
Positions (direct):
Ta  0.1183  0.2487  0.4018  6 F 1.88-2.06
Ta  0.1183  0.2513  0.9018  6 F 1.88-2.06
Ta  0.8817  0.7487  0.0982  6 F 1.88-2.06
Ta  0.8817  0.7513  0.5982  6 F 1.88-2.06
F  0.1146  0.6092  0.2017  1 Ta 1.89
F  0.1146  0.8908  0.7017  1 Ta 1.89
F  0.1171  0.1982  0.6533  2 Ta 2.04-2.06
F  0.1171  0.3018  0.1533  2 Ta 2.04-2.06
F  0.1621  0.6364  0.6267  1 Ta 1.89
F  0.1621  0.8636  0.1267  1 Ta 1.89
F  0.3563  0.1167  0.0144  1 Ta 1.88
F  0.3563  0.3833  0.5144  1 Ta 1.88
F  0.3960  0.1316  0.4302  1 Ta 1.89
F  0.3960  0.3684  0.9302  1 Ta 1.89
F  0.6040  0.6316  0.0698  1 Ta 1.89
F  0.6040  0.8684  0.5698  1 Ta 1.89
F  0.6437  0.6167  0.4856  1 Ta 1.88
F  0.6437  0.8833  0.9856  1 Ta 1.88
F  0.8379  0.1364  0.8733  1 Ta 1.89
F  0.8379  0.3636  0.3733  1 Ta 1.89
F  0.8829  0.6982  0.8467  2 Ta 2.04-2.06
F  0.8829  0.8018  0.3467  2 Ta 2.04-2.06
F  0.8854  0.1092  0.2983  1 Ta 1.89
F  0.8854  0.3908  0.7983  1 Ta 1.89


> Which of these has the lowest ΔE_f?

Sr5Zr3F22


> Which value of final energy does entry 2 give?

-6.358 eV/atom